The following is a r2SCAN calculation of crystalline Tb17Mg11Ni8 at its relaxed geometry, from the Materials Project database.

Size of the total moment (μB/f.u.): 0.0
Formation enthalpy at 0 K (kJ/mol of atoms): -24.2
SG: Pmmm, No. 47
Crystal system: orthorhombic
Total DFT energy (no corrections) (eV per atom): -18.9336
V (Å³ per atom): 23.814

a = 3.5962 Å, b = 10.9089 Å, c = 21.8532 Å
α = 90.00°, β = 90.00°, γ = 90.00°
Fractional positions:
Mg: 0.0000 0.5000 0.2493
Ni: 0.0000 0.1888 0.0942
Mg: 0.0000 0.5000 0.0729
Tb: 0.5000 0.6734 0.3398
Mg: 0.0000 0.1406 0.7446
Tb: 0.5000 0.0000 0.1387
Ni: 0.0000 0.8082 0.5960
Tb: 0.5000 0.3177 0.8379
Tb: 0.5000 0.0000 0.6280
Tb: 0.5000 0.2764 0.0000
Ni: 0.0000 0.1918 0.5960
Mg: 0.0000 0.1406 0.2554
Tb: 0.5000 0.7420 0.5000
Tb: 0.5000 0.3177 0.1621
Mg: 0.0000 0.5000 0.9271
Tb: 0.5000 0.6734 0.6602
Tb: 0.5000 0.7236 0.0000
Ni: 0.0000 0.8112 0.9058
Mg: 0.0000 0.8594 0.7446
Ni: 0.0000 0.1918 0.4040
Tb: 0.5000 0.0000 0.3720
Mg: 0.0000 0.5000 0.5682
Tb: 0.5000 0.2580 0.5000
Mg: 0.0000 0.0000 0.5000
Ni: 0.0000 0.1888 0.9058
Tb: 0.5000 0.3266 0.3398
Tb: 0.5000 0.0000 0.8613
Mg: 0.0000 0.5000 0.4318
Ni: 0.0000 0.8112 0.0942
Tb: 0.5000 0.3266 0.6602
Tb: 0.5000 0.6823 0.8379
Tb: 0.0000 0.0000 0.0000
Mg: 0.0000 0.8594 0.2554
Tb: 0.5000 0.6823 0.1621
Ni: 0.0000 0.8082 0.4040
Mg: 0.0000 0.5000 0.7507



The following is a r2SCAN calculation of crystalline BSBr at its relaxed geometry, from the Materials Project database.

Size of the total moment (μB/f.u.): 0.0
Formation enthalpy at 0 K (kJ/mol of atoms): -55.5
SG: P2_1/c, No. 14
Crystal system: monoclinic
Total DFT energy (no corrections) (eV per atom): -10.1218
V (Å³ per atom): 27.390

a = 4.1986 Å, b = 14.1932 Å, c = 18.2435 Å
α = 65.09°, β = 90.00°, γ = 90.00°
Fractional positions:
S: 0.8148 0.2869 0.2703
Br: 0.4147 0.0665 0.8793
B: 0.2420 0.6251 0.3333
Br: 0.9403 0.5056 0.6520
Br: 0.5583 0.7926 0.4947
S: 0.9187 0.8687 0.8070
Br: 0.9417 0.7926 0.9947
B: 0.7420 0.3749 0.1667
B: 0.5138 0.1694 0.7727
Br: 0.9147 0.9335 0.6207
S: 0.0813 0.1313 0.1930
S: 0.1953 0.6389 0.9258
S: 0.8047 0.3611 0.0742
S: 0.1852 0.7131 0.7297
B: 0.4862 0.8306 0.2273
S: 0.6953 0.3611 0.5742
Br: 0.0853 0.0665 0.3793
S: 0.5813 0.8687 0.3070
B: 0.2580 0.6251 0.8333
B: 0.9745 0.2353 0.0977
B: 0.7580 0.3749 0.6667
Br: 0.5597 0.5056 0.1520
Br: 0.5853 0.9335 0.1207
Br: 0.4403 0.4944 0.8480
B: 0.9862 0.1694 0.2727
S: 0.6852 0.2869 0.7703
B: 0.4745 0.7647 0.4023
B: 0.0138 0.8306 0.7273
S: 0.3148 0.7131 0.2297
Br: 0.0583 0.2074 0.0053
B: 0.0255 0.7647 0.9023
Br: 0.4417 0.2074 0.5053
S: 0.3047 0.6389 0.4258
B: 0.5255 0.2353 0.5977
S: 0.4187 0.1313 0.6930
Br: 0.0597 0.4944 0.3480



The following is a r2SCAN calculation of crystalline Cu at its relaxed geometry, from the Materials Project database.

Size of the total moment (μB/f.u.): 0.0
Formation enthalpy at 0 K (kJ/mol of atoms): 3.2
SG: I4/mmm, No. 139
Crystal system: tetragonal
Total DFT energy (no corrections) (eV per atom): -10.8137
ΔE to the lowest computed polymorph (meV per atom): 33.1
V (Å³ per atom): 11.458

a = 2.4611 Å, b = 2.4611 Å, c = 2.4611 Å
α = 71.78°, β = 67.99°, γ = 108.22°
Fractional positions:
Cu: 0.0000 0.0000 0.0000



The following is a r2SCAN calculation of crystalline Rb3Nb2Br9 at its relaxed geometry, from the Materials Project database.

Size of the total moment (μB/f.u.): 2.0
Formation enthalpy at 0 K (kJ/mol of atoms): -144.4
SG: P6_3/mmc, No. 194
Crystal system: hexagonal
Total DFT energy (no corrections) (eV per atom): -16.5391
V (Å³ per atom): 33.113

a = 7.7087 Å, b = 7.7089 Å, c = 18.0159 Å
α = 90.00°, β = 90.00°, γ = 120.00°
Fractional positions:
Rb: 0.6667 0.3333 0.5672
Rb: 0.3333 0.6667 0.0672
Br: 0.5079 0.4921 0.7501
Br: 0.1718 0.8282 0.5928
Rb: 0.6667 0.3333 0.9328
Br: 0.4921 0.9843 0.2499
Br: 0.8282 0.1718 0.4072
Br: 0.4921 0.5079 0.2499
Br: 0.1718 0.3436 0.5928
Br: 0.8282 0.1718 0.0927
Rb: 0.3333 0.6667 0.4328
Br: 0.3437 0.1718 0.0927
Nb: 0.6667 0.3333 0.1750
Nb: 0.3333 0.6667 0.8250
Br: 0.8282 0.6563 0.0927
Br: 0.1719 0.8281 0.9073
Br: 0.0157 0.5079 0.2499
Br: 0.1719 0.3438 0.9073
Br: 0.6562 0.8281 0.9073
Nb: 0.6667 0.3333 0.3249
Br: 0.8281 0.6563 0.4072
Rb: 0.0000 0.0000 0.2499
Br: 0.9842 0.4921 0.7501
Br: 0.3437 0.1718 0.4072
Br: 0.5079 0.0158 0.7501
Nb: 0.3333 0.6667 0.6751
Br: 0.6564 0.8282 0.5928
Rb: 0.0000 0.0000 0.7501



The following is a r2SCAN calculation of crystalline LaCe3 at its relaxed geometry, from the Materials Project database.

Size of the total moment (μB/f.u.): 0.8
Formation enthalpy at 0 K (kJ/mol of atoms): 9.4
SG: Pm-3m, No. 221
Crystal system: cubic
Total DFT energy (no corrections) (eV per atom): -30.4688
V (Å³ per atom): 27.349

a = 4.7826 Å, b = 4.7826 Å, c = 4.7826 Å
α = 90.00°, β = 90.00°, γ = 90.00°
Fractional positions:
Ce: 0.5000 0.5000 0.0000
Ce: 0.0000 0.5000 0.5000
Ce: 0.5000 0.0000 0.5000
La: 0.0000 0.0000 0.0000



The following is a r2SCAN calculation of crystalline ZnB2Ir2 at its relaxed geometry, from the Materials Project database.

Size of the total moment (μB/f.u.): 0.0
Formation enthalpy at 0 K (kJ/mol of atoms): -33.9
SG: I4/mmm, No. 139
Crystal system: tetragonal
Total DFT energy (no corrections) (eV per atom): -26.0153
V (Å³ per atom): 11.157

a = 2.9749 Å, b = 2.9749 Å, c = 6.6454 Å
α = 102.93°, β = 102.93°, γ = 90.00°
Fractional positions:
B: 0.7500 0.2500 0.5000
Zn: 0.0000 0.0000 0.0000
Ir: 0.3732 0.3732 0.7465
B: 0.2500 0.7500 0.5000
Ir: 0.6268 0.6268 0.2535



The following is a r2SCAN calculation of crystalline TiSiIr at its relaxed geometry, from the Materials Project database.

Size of the total moment (μB/f.u.): 0.0
Formation enthalpy at 0 K (kJ/mol of atoms): -103.5
SG: Pnma, No. 62
Crystal system: orthorhombic
Total DFT energy (no corrections) (eV per atom): -25.7627
V (Å³ per atom): 14.501

a = 3.8565 Å, b = 6.2612 Å, c = 7.2068 Å
α = 90.00°, β = 90.00°, γ = 90.00°
Fractional positions:
Ti: 0.2500 0.5231 0.6800
Si: 0.2500 0.7726 0.3766
Ti: 0.7500 0.4769 0.3200
Ir: 0.2500 0.6564 0.0622
Ti: 0.2500 0.0231 0.8200
Si: 0.2500 0.2726 0.1234
Si: 0.7500 0.7274 0.8766
Ir: 0.7500 0.8436 0.5622
Ir: 0.7500 0.3436 0.9378
Si: 0.7500 0.2274 0.6234
Ir: 0.2500 0.1564 0.4378
Ti: 0.7500 0.9769 0.1800



The following is a r2SCAN calculation of crystalline Hg3AsSe4Br at its relaxed geometry, from the Materials Project database.

Size of the total moment (μB/f.u.): 0.0
Formation enthalpy at 0 K (kJ/mol of atoms): -28.7
SG: P6_3mc, No. 186
Crystal system: hexagonal
Total DFT energy (no corrections) (eV per atom): -26.2220
V (Å³ per atom): 28.821

a = 7.8058 Å, b = 7.8058 Å, c = 9.8313 Å
α = 90.00°, β = 90.00°, γ = 120.00°
Fractional positions:
As: 0.0000 0.0000 0.2285
Se: 0.8500 0.6999 0.3627
Br: 0.3333 0.6667 0.5318
Se: 0.3001 0.1500 0.3627
Se: 0.8500 0.1500 0.3627
Se: 0.6999 0.8500 0.8627
Se: 0.6667 0.3333 0.6071
Hg: 0.4976 0.9952 0.2428
Br: 0.6667 0.3333 0.0318
Hg: 0.5024 0.0048 0.7428
Hg: 0.4976 0.5024 0.2428
Hg: 0.0048 0.5024 0.2428
As: 0.0000 0.0000 0.7285
Hg: 0.5024 0.4976 0.7428
Se: 0.1500 0.8500 0.8627
Se: 0.1500 0.3001 0.8627
Se: 0.3333 0.6667 0.1071
Hg: 0.9952 0.4976 0.7428